# CaEuS2

A geometry-optimized CaEuS2 structure (PBE, the Materials Project database).

a b c (Å): 7.081 7.081 7.081
angles (deg): 33.59 33.59 33.59
Fractional positions:
1 Ca 0.000 0.000 0.000
2 Eu 0.500 0.500 0.500
3 S 0.252 0.252 0.252
4 S 0.748 0.748 0.748

Computed properties:
**MP2020-corrected energy**: -30.1 eV per formula unit
**DFT formation energy**: -2389.5 meV per atom